1.
# MgMo3WSe2S6 (PBE, relaxed)
data_MgMo3WSe2S6
_symmetry_space_group_name_H-M 'P 3 m 1'
_symmetry_Int_Tables_number 156
_symmetry_space_group_name_Hall 'P 3 -2"'
_cell_length_a 3.2192
_cell_length_b 3.2192
_cell_length_c 44.8784
_cell_angle_alpha 90.00
_cell_angle_beta 90.00
_cell_angle_gamma 120.00
loop_
_atom_site_label
_atom_site_fract_x
_atom_site_fract_y
_atom_site_fract_z
Mg1 0.0000 0.0000 0.0000
Mo1 0.3333 0.6667 0.5304
Mo2 0.6667 0.3333 0.1028
Mo3 0.6667 0.3333 0.7188
W1 0.3333 0.6667 0.8974
Se1 0.3333 0.6667 0.0641
Se2 0.3333 0.6667 0.1409
S1 0.3333 0.6667 0.6841
S2 0.3333 0.6667 0.7535
S3 0.6667 0.3333 0.4957
S4 0.6667 0.3333 0.5650
S5 0.6667 0.3333 0.8627
S6 0.6667 0.3333 0.9324
# Theoretical density   3.49 g/cm³
# E above lowest polymorph   0.0042 eV per atom



2.
# MgMo2WSe2S4 (PBE, relaxed)
data_MgMo2WSe2S4
_symmetry_space_group_name_H-M 'P 3 m 1'
_symmetry_Int_Tables_number 156
_symmetry_space_group_name_Hall 'P 3 -2"'
_cell_length_a 3.2363
_cell_length_b 3.2363
_cell_length_c 36.7432
_cell_angle_alpha 90.00
_cell_angle_beta 90.00
_cell_angle_gamma 120.00
loop_
_atom_site_label
_atom_site_fract_x
_atom_site_fract_y
_atom_site_fract_z
Mg1 0.0000 0.0000 0.0000
Mo1 0.3333 0.6667 0.3573
Mo2 0.3333 0.6667 0.8869
W1 0.6667 0.3333 0.1349
Se1 0.3333 0.6667 0.0880
Se2 0.3333 0.6667 0.1816
S1 0.6667 0.3333 0.3151
S2 0.6667 0.3333 0.3996
S3 0.6667 0.3333 0.8451
S4 0.6667 0.3333 0.9296
# Theoretical density   3.42 g/cm³
# E above lowest polymorph   0.0053 eV per atom



3.
# MgMo2WSe4S2 (PBE, relaxed)
data_MgMo2WSe4S2
_symmetry_space_group_name_H-M 'P 3 m 1'
_symmetry_Int_Tables_number 156
_symmetry_space_group_name_Hall 'P 3 -2"'
_cell_length_a 3.2832
_cell_length_b 3.2832
_cell_length_c 36.8139
_cell_angle_alpha 90.00
_cell_angle_beta 90.00
_cell_angle_gamma 120.00
loop_
_atom_site_label
_atom_site_fract_x
_atom_site_fract_y
_atom_site_fract_z
Mg1 0.0000 0.0000 0.0000
Mo1 0.3333 0.6667 0.8679
Mo2 0.6667 0.3333 0.1138
W1 0.3333 0.6667 0.3385
Se1 0.6667 0.3333 0.2924
Se2 0.6667 0.3333 0.3845
Se3 0.6667 0.3333 0.8220
Se4 0.6667 0.3333 0.9141
S1 0.3333 0.6667 0.0720
S2 0.3333 0.6667 0.1552
# Theoretical density   3.77 g/cm³
# E above lowest polymorph   0.0150 eV per atom



4.
# MgMo2WSe2S4 (PBE, relaxed)
data_MgMo2WSe2S4
_symmetry_space_group_name_H-M 'P 3 m 1'
_symmetry_Int_Tables_number 156
_symmetry_space_group_name_Hall 'P 3 -2"'
_cell_length_a 3.2351
_cell_length_b 3.2351
_cell_length_c 36.6283
_cell_angle_alpha 90.00
_cell_angle_beta 90.00
_cell_angle_gamma 120.00
loop_
_atom_site_label
_atom_site_fract_x
_atom_site_fract_y
_atom_site_fract_z
Mg1 0.0000 0.0000 0.0000
Mo1 0.0000 0.0000 0.1204
Mo2 0.0000 0.0000 0.6475
W1 0.3333 0.6667 0.8716
Se1 0.0000 0.0000 0.8247
Se2 0.0000 0.0000 0.9187
S1 0.3333 0.6667 0.0778
S2 0.3333 0.6667 0.1626
S3 0.3333 0.6667 0.6051
S4 0.3333 0.6667 0.6898
# Theoretical density   3.43 g/cm³
# E above lowest polymorph   0.0000 eV per atom



5.
# MgMo2WSe4S2 (PBE, relaxed)
data_MgMo2WSe4S2
_symmetry_space_group_name_H-M 'C 1 m 1'
_symmetry_Int_Tables_number 8
_symmetry_space_group_name_Hall 'C -2y'
_cell_length_a 5.690
_cell_length_b 3.285
_cell_length_c 37.646
_cell_angle_alpha 90.00
_cell_angle_beta 90.11
_cell_angle_gamma 90.00
loop_
_atom_site_label
_atom_site_fract_x
_atom_site_fract_y
_atom_site_fract_z
Mg1 0.000 0.000 0.000
Mo1 0.166 0.500 0.111
Mo2 0.333 0.000 0.336
W1 0.333 0.000 0.864
Se1 0.165 0.500 0.291
Se2 0.165 0.500 0.819
Se3 0.167 0.500 0.381
Se4 0.167 0.500 0.909
S1 0.333 0.000 0.071
S2 0.333 0.000 0.152
# Theoretical density   3.68 g/cm³
# E above lowest polymorph   0.0180 eV per atom



6.
# MgMo2WSe4S2 (PBE, relaxed)
data_MgMo2WSe4S2
_symmetry_space_group_name_H-M 'P 3 m 1'
_symmetry_Int_Tables_number 156
_symmetry_space_group_name_Hall 'P 3 -2"'
_cell_length_a 3.2717
_cell_length_b 3.2717
_cell_length_c 37.2003
_cell_angle_alpha 90.00
_cell_angle_beta 90.00
_cell_angle_gamma 120.00
loop_
_atom_site_label
_atom_site_fract_x
_atom_site_fract_y
_atom_site_fract_z
Mg1 0.0000 0.0000 0.0000
Mo1 0.3333 0.6667 0.3464
Mo2 0.3333 0.6667 0.8760
W1 0.6667 0.3333 0.1237
Se1 0.6667 0.3333 0.3009
Se2 0.6667 0.3333 0.3919
Se3 0.6667 0.3333 0.8306
Se4 0.6667 0.3333 0.9221
S1 0.3333 0.6667 0.0822
S2 0.3333 0.6667 0.1651
# Theoretical density   3.76 g/cm³
# E above lowest polymorph   0.0000 eV per atom



7.
# MgMoW2Se2S4 (PBE, relaxed)
data_MgMoW2Se2S4
_symmetry_space_group_name_H-M 'P 3 m 1'
_symmetry_Int_Tables_number 156
_symmetry_space_group_name_Hall 'P 3 -2"'
_cell_length_a 3.2304
_cell_length_b 3.2304
_cell_length_c 37.0144
_cell_angle_alpha 90.00
_cell_angle_beta 90.00
_cell_angle_gamma 120.00
loop_
_atom_site_label
_atom_site_fract_x
_atom_site_fract_y
_atom_site_fract_z
Mg1 0.0000 0.0000 0.0000
Mo1 0.3333 0.6667 0.1234
W1 0.0000 0.0000 0.3483
W2 0.0000 0.0000 0.8739
Se1 0.0000 0.0000 0.0770
Se2 0.0000 0.0000 0.1696
S1 0.3333 0.6667 0.3062
S2 0.3333 0.6667 0.3905
S3 0.3333 0.6667 0.8319
S4 0.3333 0.6667 0.9161
# Theoretical density   3.84 g/cm³
# E above lowest polymorph   0.0001 eV per atom



8.
# MgMo2WSe2S4 (PBE, relaxed)
data_MgMo2WSe2S4
_symmetry_space_group_name_H-M 'C 1 m 1'
_symmetry_Int_Tables_number 8
_symmetry_space_group_name_Hall 'C -2y'
_cell_length_a 5.596
_cell_length_b 3.231
_cell_length_c 29.638
_cell_angle_alpha 90.00
_cell_angle_beta 90.00
_cell_angle_gamma 90.00
loop_
_atom_site_label
_atom_site_fract_x
_atom_site_fract_y
_atom_site_fract_z
Mg1 0.000 0.000 0.000
Mo1 0.156 0.500 0.269
Mo2 0.156 0.500 0.732
W1 0.323 0.000 0.501
Se1 0.156 0.500 0.443
Se2 0.156 0.500 0.559
S1 0.323 0.000 0.217
S2 0.323 0.000 0.322
S3 0.323 0.000 0.680
S4 0.323 0.000 0.784
# Theoretical density   4.25 g/cm³
# E above lowest polymorph   0.0297 eV per atom



9.
# MgMoW2Se2S4 (PBE, relaxed)
data_MgMoW2Se2S4
_symmetry_space_group_name_H-M 'P 1'
_symmetry_Int_Tables_number 1
_symmetry_space_group_name_Hall 'P 1'
_cell_length_a 3.226
_cell_length_b 3.226
_cell_length_c 29.828
_cell_angle_alpha 90.00
_cell_angle_beta 90.00
_cell_angle_gamma 60.00
loop_
_atom_site_label
_atom_site_fract_x
_atom_site_fract_y
_atom_site_fract_z
Mg1 0.000 0.000 0.000
Mo1 0.059 0.932 0.505
W1 0.393 0.265 0.273
W2 0.393 0.265 0.736
Se1 0.393 0.265 0.447
Se2 0.393 0.265 0.562
S1 0.059 0.932 0.221
S2 0.059 0.932 0.325
S3 0.059 0.932 0.684
S4 0.059 0.932 0.788
# Theoretical density   4.78 g/cm³
# E above lowest polymorph   0.0298 eV per atom



10.
# MgMo3WSe2S6 (PBE, relaxed)
data_MgMo3WSe2S6
_symmetry_space_group_name_H-M 'P 3 m 1'
_symmetry_Int_Tables_number 156
_symmetry_space_group_name_Hall 'P 3 -2"'
_cell_length_a 3.2235
_cell_length_b 3.2235
_cell_length_c 44.2432
_cell_angle_alpha 90.00
_cell_angle_beta 90.00
_cell_angle_gamma 120.00
loop_
_atom_site_label
_atom_site_fract_x
_atom_site_fract_y
_atom_site_fract_z
Mg1 0.0000 0.0000 0.0000
Mo1 0.3333 0.6667 0.7228
Mo2 0.6667 0.3333 0.2883
Mo3 0.6667 0.3333 0.9050
W1 0.3333 0.6667 0.1058
Se1 0.3333 0.6667 0.2497
Se2 0.3333 0.6667 0.3270
S1 0.3333 0.6667 0.8701
S2 0.3333 0.6667 0.9405
S3 0.6667 0.3333 0.0703
S4 0.6667 0.3333 0.1410
S5 0.6667 0.3333 0.6877
S6 0.6667 0.3333 0.7580
# Theoretical density   3.53 g/cm³
# E above lowest polymorph   0.0038 eV per atom



11.
# MgMo3WSe2S6 (PBE, relaxed)
data_MgMo3WSe2S6
_symmetry_space_group_name_H-M 'P 1'
_symmetry_Int_Tables_number 1
_symmetry_space_group_name_Hall 'P 1'
_cell_length_a 3.218
_cell_length_b 3.218
_cell_length_c 37.138
_cell_angle_alpha 90.00
_cell_angle_beta 90.00
_cell_angle_gamma 60.00
loop_
_atom_site_label
_atom_site_fract_x
_atom_site_fract_y
_atom_site_fract_z
Mg1 0.000 0.000 0.000
Mo1 0.136 0.940 0.790
Mo2 0.803 0.607 0.225
Mo3 0.803 0.607 0.602
W1 0.136 0.940 0.414
Se1 0.136 0.940 0.179
Se2 0.136 0.940 0.271
S1 0.136 0.940 0.560
S2 0.136 0.940 0.643
S3 0.802 0.606 0.372
S4 0.802 0.606 0.456
S5 0.802 0.606 0.748
S6 0.802 0.606 0.832
# Theoretical density   4.22 g/cm³
# E above lowest polymorph   0.0210 eV per atom



12.
# MgMo2WSe4S2 (PBE, relaxed)
data_MgMo2WSe4S2
_symmetry_space_group_name_H-M 'P 1'
_symmetry_Int_Tables_number 1
_symmetry_space_group_name_Hall 'P 1'
_cell_length_a 3.267
_cell_length_b 3.267
_cell_length_c 30.333
_cell_angle_alpha 90.00
_cell_angle_beta 90.00
_cell_angle_gamma 60.00
loop_
_atom_site_label
_atom_site_fract_x
_atom_site_fract_y
_atom_site_fract_z
Mg1 0.000 0.000 0.000
Mo1 0.007 0.990 0.268
Mo2 0.007 0.990 0.730
W1 0.674 0.656 0.499
Se1 0.674 0.657 0.212
Se2 0.674 0.657 0.323
Se3 0.674 0.657 0.674
Se4 0.674 0.657 0.786
S1 0.007 0.990 0.448
S2 0.007 0.990 0.550
# Theoretical density   4.62 g/cm³
# E above lowest polymorph   0.0236 eV per atom



13.
# MgMoW2Se2S4 (PBE, relaxed)
data_MgMoW2Se2S4
_symmetry_space_group_name_H-M 'P 3 m 1'
_symmetry_Int_Tables_number 156
_symmetry_space_group_name_Hall 'P 3 -2"'
_cell_length_a 3.2351
_cell_length_b 3.2351
_cell_length_c 36.7942
_cell_angle_alpha 90.00
_cell_angle_beta 90.00
_cell_angle_gamma 120.00
loop_
_atom_site_label
_atom_site_fract_x
_atom_site_fract_y
_atom_site_fract_z
Mg1 0.0000 0.0000 0.0000
Mo1 0.0000 0.0000 0.1294
W1 0.6667 0.3333 0.3504
W2 0.6667 0.3333 0.8815
Se1 0.6667 0.3333 0.0827
Se2 0.6667 0.3333 0.1757
S1 0.0000 0.0000 0.3080
S2 0.0000 0.0000 0.3927
S3 0.0000 0.0000 0.8394
S4 0.0000 0.0000 0.9238
# Theoretical density   3.85 g/cm³
# E above lowest polymorph   0.0000 eV per atom



14.
# MgMo2WSe4S2 (PBE, relaxed)
data_MgMo2WSe4S2
_symmetry_space_group_name_H-M 'P 3 m 1'
_symmetry_Int_Tables_number 156
_symmetry_space_group_name_Hall 'P 3 -2"'
_cell_length_a 3.2694
_cell_length_b 3.2694
_cell_length_c 30.1375
_cell_angle_alpha 90.00
_cell_angle_beta 90.00
_cell_angle_gamma 120.00
loop_
_atom_site_label
_atom_site_fract_x
_atom_site_fract_y
_atom_site_fract_z
Mg1 0.0000 0.0000 0.0000
Mo1 0.6667 0.3333 0.2590
Mo2 0.6667 0.3333 0.7219
W1 0.0000 0.0000 0.4904
Se1 0.0000 0.0000 0.2029
Se2 0.0000 0.0000 0.3153
Se3 0.0000 0.0000 0.6656
Se4 0.0000 0.0000 0.7781
S1 0.6667 0.3333 0.4393
S2 0.6667 0.3333 0.5416
# Theoretical density   4.64 g/cm³
# E above lowest polymorph   0.0238 eV per atom



15.
# Sm3Mg2MoS8 (PBE, relaxed)
data_Sm3Mg2MoS8
_symmetry_space_group_name_H-M 'R -3 m'
_symmetry_Int_Tables_number 166
_symmetry_space_group_name_Hall '-R 3 2"'
_cell_length_a 7.9520
_cell_length_b 7.9520
_cell_length_c 18.8331
_cell_angle_alpha 90.00
_cell_angle_beta 90.00
_cell_angle_gamma 120.00
loop_
_atom_site_label
_atom_site_fract_x
_atom_site_fract_y
_atom_site_fract_z
Sm1 0.0000 0.5000 0.0000
Mg1 0.0000 0.0000 0.1250
Mo1 0.0000 0.0000 0.5000
S1 0.0000 0.0000 0.2534
S2 0.0222 0.5111 0.2428
# Theoretical density   4.12 g/cm³



16.
# MgTe4Mo4S4 (PBE, relaxed)
data_MgTe4Mo4S4
_symmetry_space_group_name_H-M 'P 1'
_symmetry_Int_Tables_number 1
_symmetry_space_group_name_Hall 'P 1'
_cell_length_a 3.353
_cell_length_b 3.353
_cell_length_c 37.936
_cell_angle_alpha 90.00
_cell_angle_beta 90.00
_cell_angle_gamma 60.00
loop_
_atom_site_label
_atom_site_fract_x
_atom_site_fract_y
_atom_site_fract_z
Mg1 0.000 0.000 0.000
Te1 0.027 0.003 0.732
Te2 0.027 0.003 0.832
Te3 0.694 0.670 0.168
Te4 0.694 0.670 0.268
Mo1 0.027 0.003 0.218
Mo2 0.027 0.003 0.594
Mo3 0.694 0.670 0.406
Mo4 0.694 0.670 0.782
S1 0.027 0.003 0.366
S2 0.027 0.003 0.446
S3 0.694 0.670 0.554
S4 0.694 0.670 0.634
# Theoretical density   4.70 g/cm³
# E above lowest polymorph   0.0388 eV per atom



17.
# MgTe4Mo4S4 (PBE, relaxed)
data_MgTe4Mo4S4
_symmetry_space_group_name_H-M 'P 3 m 1'
_symmetry_Int_Tables_number 156
_symmetry_space_group_name_Hall 'P 3 -2"'
_cell_length_a 3.3938
_cell_length_b 3.3938
_cell_length_c 38.2853
_cell_angle_alpha 90.00
_cell_angle_beta 90.00
_cell_angle_gamma 120.00
loop_
_atom_site_label
_atom_site_fract_x
_atom_site_fract_y
_atom_site_fract_z
Mg1 0.0000 0.0000 0.0000
Te1 0.3333 0.6667 0.2334
Te2 0.3333 0.6667 0.3314
Te3 0.6667 0.3333 0.6698
Te4 0.6667 0.3333 0.7677
Mo1 0.3333 0.6667 0.0955
Mo2 0.3333 0.6667 0.7187
Mo3 0.6667 0.3333 0.2824
Mo4 0.6667 0.3333 0.9055
S1 0.3333 0.6667 0.8670
S2 0.3333 0.6667 0.9472
S3 0.6667 0.3333 0.0541
S4 0.6667 0.3333 0.1340
# Theoretical density   4.55 g/cm³
# E above lowest polymorph   0.0151 eV per atom



18.
# MgTe4Mo4S4 (PBE, relaxed)
data_MgTe4Mo4S4
_symmetry_space_group_name_H-M 'C 1 m 1'
_symmetry_Int_Tables_number 8
_symmetry_space_group_name_Hall 'C -2y'
_cell_length_a 5.820
_cell_length_b 3.360
_cell_length_c 45.042
_cell_angle_alpha 90.00
_cell_angle_beta 90.01
_cell_angle_gamma 90.00
loop_
_atom_site_label
_atom_site_fract_x
_atom_site_fract_y
_atom_site_fract_z
Mg1 0.000 0.000 0.000
Te1 0.166 0.500 0.847
Te2 0.166 0.500 0.931
Te3 0.333 0.000 0.417
Te4 0.333 0.000 0.501
Mo1 0.166 0.500 0.091
Mo2 0.166 0.500 0.459
Mo3 0.333 0.000 0.272
Mo4 0.333 0.000 0.889
S1 0.166 0.500 0.238
S2 0.166 0.500 0.305
S3 0.332 0.000 0.056
S4 0.333 0.000 0.124
# Theoretical density   3.95 g/cm³
# E above lowest polymorph   0.0159 eV per atom



19.
# MgTe4Mo4S4 (PBE, relaxed)
data_MgTe4Mo4S4
_symmetry_space_group_name_H-M 'C 1 m 1'
_symmetry_Int_Tables_number 8
_symmetry_space_group_name_Hall 'C -2y'
_cell_length_a 5.847
_cell_length_b 3.375
_cell_length_c 42.278
_cell_angle_alpha 90.00
_cell_angle_beta 90.01
_cell_angle_gamma 90.00
loop_
_atom_site_label
_atom_site_fract_x
_atom_site_fract_y
_atom_site_fract_z
Mg1 0.000 0.000 0.000
Te1 0.332 0.000 0.671
Te2 0.332 0.000 0.761
Te3 0.499 0.500 0.235
Te4 0.499 0.500 0.324
Mo1 0.000 0.000 0.098
Mo2 0.332 0.000 0.280
Mo3 0.333 0.000 0.900
Mo4 0.499 0.500 0.716
S1 0.332 0.000 0.062
S2 0.334 0.000 0.133
S3 0.499 0.500 0.865
S4 0.499 0.500 0.936
# Theoretical density   4.17 g/cm³
# E above lowest polymorph   0.0000 eV per atom



20.
# MgTe4Mo2WS2 (PBE, relaxed)
data_MgTe4Mo2WS2
_symmetry_space_group_name_H-M 'C 1 m 1'
_symmetry_Int_Tables_number 8
_symmetry_space_group_name_Hall 'C -2y'
_cell_length_a 5.911
_cell_length_b 3.411
_cell_length_c 38.590
_cell_angle_alpha 90.00
_cell_angle_beta 92.03
_cell_angle_gamma 90.00
loop_
_atom_site_label
_atom_site_fract_x
_atom_site_fract_y
_atom_site_fract_z
Mg1 0.000 0.000 0.000
Te1 0.007 0.000 0.177
Te2 0.008 0.000 0.710
Te3 0.485 0.500 0.080
Te4 0.486 0.500 0.613
Mo1 0.329 0.000 0.129
Mo2 0.331 0.000 0.661
W1 0.009 0.000 0.882
S1 0.333 0.000 0.843
S2 0.352 0.000 0.921
# Theoretical density   4.16 g/cm³
# E above lowest polymorph   0.0000 eV per atom



Number 1: calculated formation energy -0.933 eV per atom. Number 2: calculated formation energy -0.836 eV per atom. Number 3: calculated formation energy -0.680 eV per atom. Number 4: calculated formation energy -0.841 eV per atom. Number 5: calculated formation energy -0.677 eV per atom. Number 6: calculated formation energy -0.695 eV per atom. Number 7: calculated formation energy -0.847 eV per atom. Number 8: calculated formation energy -0.811 eV per atom. Number 9: calculated formation energy -0.817 eV per atom. Number 10: calculated formation energy -0.934 eV per atom. Number 11: calculated formation energy -0.916 eV per atom. Number 12: calculated formation energy -0.671 eV per atom. Number 13: calculated formation energy -0.847 eV per atom. Number 14: calculated formation energy -0.671 eV per atom. Number 15: calculated formation energy -1.782 eV per atom. Number 16: calculated formation energy -0.554 eV per atom. Number 17: calculated formation energy -0.578 eV per atom. Number 18: calculated formation energy -0.577 eV per atom. Number 19: calculated formation energy -0.593 eV per atom. Number 20: calculated formation energy -0.407 eV per atom.